# Na9Ta2Zn10P3S15O72

A relaxed Na9Ta2Zn10P3S15O72 crystal (GGA-PBE, the Materials Project).

Output
Calculated volume in Å³/atom: 13.70
Space group: P1, No. 1
Crystal system: triclinic
Energy of formation in meV/atom: -2113
Density in g/cm³: 3.220
Magnetization in μB/atom: 0.0000

a = 8.790 Å, b = 8.800 Å, c = 22.681 Å
α = 89.69°, β = 90.29°, γ = 119.92°
Element x y z (fractional)
1 O 0.848 0.302 0.530
2 O 0.305 0.457 0.472
3 O 0.507 0.864 0.364
4 O 0.186 0.224 0.698
5 O 0.135 0.645 0.363
6 O 0.520 0.833 0.762
7 O 0.024 0.822 0.409
8 O 0.880 0.360 0.637
9 O 0.869 0.364 0.919
10 O 0.358 0.862 0.577
11 O 0.163 0.474 0.259
12 O 0.695 0.145 0.029
13 O 0.981 0.806 0.088
14 O 0.452 0.302 0.030
15 O 0.148 0.456 0.970
16 O 0.036 0.223 0.197
17 O 0.879 0.519 0.137
18 O 0.818 0.029 0.805
19 O 0.494 0.131 0.919
20 O 0.800 0.972 0.408
21 O 0.827 0.020 0.090
22 O 0.353 0.861 0.864
23 O 0.136 0.493 0.578
24 O 0.483 0.162 0.245
25 O 0.216 0.026 0.307
26 O 0.636 0.129 0.419
27 O 0.307 0.855 0.971
28 O 0.800 0.823 0.910
29 O 0.473 0.323 0.745
30 O 0.163 0.687 0.761
31 O 0.483 0.119 0.634
32 O 0.217 0.187 0.805
33 O 0.353 0.494 0.362
34 O 0.027 0.201 0.910
35 O 0.314 0.832 0.262
36 O 0.137 0.490 0.863
37 O 0.854 0.547 0.029
38 O 0.154 0.700 0.469
39 O 0.445 0.139 0.527
40 O 0.977 0.787 0.805
41 O 0.186 0.962 0.194
42 O 0.847 0.530 0.745
43 O 0.642 0.519 0.637
44 O 0.500 0.355 0.419
45 O 0.354 0.493 0.077
46 O 0.140 0.650 0.078
47 O 0.636 0.117 0.136
48 O 0.812 0.788 0.305
49 O 0.193 0.020 0.589
50 O 0.509 0.646 0.864
51 O 0.526 0.689 0.260
52 O 0.975 0.172 0.588
53 O 0.174 0.974 0.908
54 O 0.827 0.808 0.588
55 O 0.871 0.503 0.419
56 O 0.512 0.653 0.580
57 O 0.549 0.856 0.472
58 O 0.678 0.161 0.744
59 O 0.970 0.189 0.304
60 O 0.310 0.475 0.760
61 O 0.777 0.815 0.198
62 O 0.848 0.323 0.244
63 O 0.505 0.864 0.077
64 O 0.170 0.187 0.411
65 O 0.694 0.551 0.530
66 O 0.480 0.363 0.137
67 O 0.684 0.530 0.245
68 O 0.773 0.961 0.693
69 O 0.040 0.815 0.698
70 O 0.197 0.173 0.088
71 O 0.545 0.694 0.970
72 O 0.634 0.503 0.919
73 Zn 0.994 0.003 0.848
74 Zn 0.324 0.648 0.518
75 Zn 0.011 0.011 0.348
76 Zn 0.658 0.326 0.183
77 Zn 0.671 0.336 0.985
78 Zn 0.000 0.998 0.152
79 Zn 0.665 0.346 0.484
80 Zn 0.998 0.998 0.652
81 Zn 0.333 0.658 0.018
82 Zn 0.668 0.327 0.684
83 S 0.995 0.290 0.250
84 S 0.042 0.374 0.917
85 S 0.997 0.707 0.751
86 S 0.960 0.335 0.583
87 S 0.041 0.665 0.417
88 S 0.374 0.335 0.083
89 S 0.629 0.957 0.418
90 S 0.294 0.290 0.751
91 S 0.712 0.708 0.251
92 S 0.627 0.667 0.918
93 S 0.368 0.038 0.582
94 S 0.958 0.625 0.083
95 S 0.331 0.960 0.918
96 S 0.669 0.627 0.584
97 S 0.670 0.040 0.083
98 P 0.297 0.006 0.250
99 P 0.332 0.372 0.418
100 P 0.714 0.009 0.750
101 Na 0.669 0.328 0.832
102 Na 0.332 0.041 0.416
103 Na 0.333 0.661 0.162
104 Na 0.991 0.002 0.000
105 Na 0.668 0.969 0.586
106 Na 0.665 0.337 0.331
107 Na 0.326 0.659 0.662
108 Na 0.301 0.969 0.086
109 Na 0.005 0.007 0.501
110 Ta 0.334 0.663 0.313
111 Ta 0.339 0.671 0.813